Entry 1:
! AgSb3IF24 | the Materials Project database | GGA-PBE | relaxed; values from VASP
! - energy relative to the elements (eV per atom) = -2.262
! - SG = No. 15
! - total magnetization (μB per cell) = 2.01
&SYSTEM
  ibrav = 0, nat = 58, ntyp = 4
/
ATOMIC_SPECIES
Ag 107.87 Ag.upf
Sb 121.76 Sb.upf
I 126.90 I.upf
F 19.00 F.upf
ATOMIC_POSITIONS angstrom
Ag 0.000 0.000 0.000
Ag -0.259 0.000 4.908
Sb 4.952 6.010 7.362
Sb 2.371 1.531 7.347
Sb 2.630 -1.531 2.439
Sb 7.532 1.531 7.376
Sb 7.791 -1.531 2.469
Sb 5.211 -6.010 2.454
I 5.211 3.047 2.454
I 4.952 -3.047 7.362
F 3.344 6.144 6.352
F 1.366 2.880 8.248
F 0.753 1.413 6.139
F 4.199 7.461 8.490
F 5.704 7.461 6.234
F 3.082 2.813 6.143
F 1.457 0.205 8.432
F 4.187 4.751 8.555
F 1.012 -1.413 1.232
F 1.716 -0.205 3.525
F 3.748 3.053 1.361
F 4.439 4.328 3.495
F 5.717 4.751 6.168
F 3.804 1.590 8.585
F 3.113 0.088 6.348
F 6.559 6.144 8.371
F 1.625 -2.880 3.340
F 3.372 -0.088 1.441
F 5.982 4.328 1.412
F 4.445 1.758 3.496
F 5.976 1.758 1.412
F 3.341 -2.813 1.235
F 6.673 3.053 3.547
F 4.063 -1.590 3.677
F 6.099 1.590 6.138
F 3.489 -3.053 6.269
F 6.821 2.813 8.580
F 4.186 -1.758 8.404
F 5.717 -1.758 6.319
F 4.180 -4.328 8.403
F 6.790 0.088 8.375
F 8.537 2.880 6.475
F 3.603 -6.144 1.444
F 7.049 -0.088 3.467
F 6.358 -1.590 1.231
F 4.446 -4.751 3.648
F 5.723 -4.328 6.320
F 6.414 -3.053 8.454
F 8.446 0.205 6.291
F 9.150 1.413 8.584
F 5.976 -4.751 1.260
F 8.705 -0.205 1.383
F 7.080 -2.813 3.672
F 4.458 -7.461 3.582
F 5.963 -7.461 1.326
F 9.409 -1.413 3.676
F 8.796 -2.880 1.567
F 6.818 -6.144 3.464
CELL_PARAMETERS angstrom
5.340 -9.145 0.000
5.340 9.145 0.000
-0.518 0.000 9.815

=====

Entry 2:
! Er2Ga9Rh3 | the Materials Project database | GGA-PBE | relaxed; values from VASP
! - energy relative to the elements (eV per atom) = -0.698
! - SG = No. 63
&SYSTEM
  ibrav = 0, nat = 28, ntyp = 3
/
ATOMIC_SPECIES
Er 167.26 Er.upf
Ga 69.72 Ga.upf
Rh 102.91 Rh.upf
ATOMIC_POSITIONS angstrom
Er 4.394 2.518 7.140
Er 8.706 2.518 7.140
Er 4.394 -2.518 2.380
Er 8.706 -2.518 2.380
Ga 2.189 1.265 5.514
Ga 2.189 1.265 8.765
Ga 10.911 -1.265 0.754
Ga 10.911 -1.265 4.005
Ga 6.550 2.845 2.380
Ga 6.550 1.265 5.367
Ga 6.550 1.265 8.912
Ga 2.189 -1.265 0.754
Ga 2.189 -1.265 4.005
Ga 5.177 0.433 2.380
Ga 5.177 -0.433 7.140
Ga 7.922 0.433 2.380
Ga 7.922 -0.433 7.140
Ga 10.911 1.265 5.514
Ga 10.911 1.265 8.765
Ga 6.550 -1.265 0.607
Ga 6.550 -1.265 4.153
Ga 6.550 -2.845 7.140
Rh 0.000 0.000 0.000
Rh 0.000 0.000 4.760
Rh 4.300 0.000 0.000
Rh 4.300 0.000 4.760
Rh 8.799 0.000 0.000
Rh 8.799 0.000 4.760
CELL_PARAMETERS angstrom
6.550 -3.790 0.000
6.550 3.790 0.000
0.000 0.000 9.519

=====

Entry 3:
! NaTiInSiS2O12 | the Materials Project database | GGA-PBE | relaxed; values from VASP
! - energy relative to the elements (eV per atom) = -2.396
! - SG = No. 9
! - total magnetization (μB per cell) = 0.00
&SYSTEM
  ibrav = 0, nat = 108, ntyp = 6
/
ATOMIC_SPECIES
Na 22.99 Na.upf
Ti 47.87 Ti.upf
In 114.82 In.upf
Si 28.09 Si.upf
S 32.06 S.upf
O 16.00 O.upf
ATOMIC_POSITIONS angstrom
Na 7.636 4.398 11.538
Na 5.052 0.101 3.849
Na 4.997 -0.101 15.387
Na 10.105 0.072 19.242
Na 10.160 -0.072 7.704
Na 7.690 -4.398 0.000
Ti 4.820 0.028 0.447
Ti 4.765 -0.028 11.985
Ti 10.229 0.165 15.836
Ti 10.283 -0.165 4.298
Ti 15.187 0.028 19.672
Ti 15.241 -0.028 8.134
In 4.979 0.099 7.244
In 4.925 -0.099 18.782
In 10.035 0.005 22.641
In 10.089 -0.005 11.103
In 15.259 0.018 14.938
In 15.313 -0.018 3.400
Si 2.679 1.302 9.577
Si 2.625 -1.302 21.115
Si 10.078 2.582 13.405
Si 13.024 1.279 17.274
Si 10.133 -2.582 1.867
Si 13.078 -1.279 5.736
S 4.984 2.556 21.117
S 7.549 1.838 17.307
S 9.813 3.085 5.763
S 7.220 1.306 9.594
S 7.898 1.245 1.915
S 5.039 -2.556 9.579
S 7.165 -1.306 21.132
S 7.844 -1.245 13.453
S 12.393 1.319 1.906
S 7.603 -1.838 5.769
S 12.338 -1.319 13.444
S 9.758 -3.085 17.301
O 1.213 0.550 9.351
O 6.211 3.406 4.388
O 1.552 0.700 16.082
O 6.230 3.397 21.002
O 3.593 1.086 8.284
O 4.800 1.774 19.886
O 4.778 1.603 13.306
O 3.445 0.802 17.444
O 1.158 -0.550 20.889
O 3.869 0.945 1.698
O 5.172 1.693 22.330
O 7.326 2.815 9.433
O 3.475 0.588 10.915
O 5.158 1.541 5.793
O 8.829 3.573 13.587
O 1.606 -0.700 4.544
O 7.338 2.597 16.072
O 7.716 2.718 2.015
O 8.956 3.405 6.960
O 7.776 2.703 18.507
O 3.420 -0.588 22.453
O 6.386 1.050 10.791
O 6.350 0.988 17.481
O 3.499 -0.802 5.906
O 6.692 0.702 8.362
O 3.538 -1.086 19.822
O 3.814 -0.945 13.236
O 6.567 0.582 1.759
O 8.698 1.087 0.683
O 9.883 1.725 12.085
O 9.868 1.605 5.628
O 8.774 0.965 17.158
O 8.592 0.769 9.698
O 8.577 0.679 3.113
O 6.512 -0.582 13.296
O 10.152 1.522 21.288
O 4.832 -1.603 1.768
O 10.340 1.588 14.754
O 5.104 -1.541 17.331
O 6.637 -0.702 19.900
O 4.854 -1.774 8.348
O 6.404 -0.988 5.943
O 5.227 -1.693 10.792
O 6.332 -1.050 22.328
O 11.534 1.071 3.112
O 8.523 -0.679 14.651
O 11.550 0.985 9.707
O 8.537 -0.769 21.236
O 8.828 -0.965 5.620
O 11.832 0.744 0.683
O 8.644 -1.087 12.221
O 11.506 0.525 17.076
O 7.392 -2.597 4.534
O 6.157 -3.406 15.926
O 6.285 -3.397 9.465
O 7.271 -2.815 20.970
O 7.662 -2.718 13.553
O 13.744 0.744 2.036
O 11.560 -0.525 5.538
O 7.830 -2.703 6.969
O 9.814 -1.605 17.166
O 13.779 0.585 18.598
O 10.206 -1.522 9.750
O 9.937 -1.725 0.547
O 11.777 -0.744 12.221
O 10.395 -1.588 3.216
O 11.495 -0.985 21.244
O 11.479 -1.071 14.649
O 13.834 -0.585 7.060
O 8.901 -3.405 18.498
O 13.690 -0.744 13.574
O 8.883 -3.573 2.049
CELL_PARAMETERS angstrom
7.690 -4.421 0.000
7.690 4.421 0.000
-0.109 0.000 23.076

=====

Entry 4:
! Hf2Ni2Sn | the Materials Project database | GGA-PBE | relaxed; values from VASP
! - energy relative to the elements (eV per atom) = -0.575
! - SG = No. 136
! - total magnetization (μB per cell) = 0.00
&SYSTEM
  ibrav = 0, nat = 20, ntyp = 3
/
ATOMIC_SPECIES
Hf 178.49 Hf.upf
Ni 58.69 Ni.upf
Sn 118.71 Sn.upf
ATOMIC_POSITIONS angstrom
Hf 1.077 1.077 0.000
Hf 1.279 1.279 3.393
Hf 2.256 4.813 0.000
Hf 2.458 4.611 3.393
Hf 4.611 2.458 3.393
Hf 4.813 2.256 0.000
Hf 5.790 5.790 3.393
Hf 5.992 5.992 0.000
Ni 0.893 6.176 1.930
Ni 0.893 6.176 4.857
Ni 2.642 2.642 1.463
Ni 2.642 2.642 5.324
Ni 4.427 4.427 1.463
Ni 4.427 4.427 5.324
Ni 6.176 0.893 1.930
Ni 6.176 0.893 4.857
Sn 0.000 3.534 1.697
Sn 0.000 3.534 5.090
Sn 3.534 0.000 1.697
Sn 3.534 0.000 5.090
CELL_PARAMETERS angstrom
7.069 0.000 0.000
0.000 7.069 0.000
0.000 0.000 6.787

=====

Entry 5:
! MgNb2B2O8 | the Materials Project database | GGA-PBE | relaxed; values from VASP
! - energy relative to the elements (eV per atom) = -2.626
! - SG = No. 12
! - excess energy over the best structure of this formula in the dataset (eV per atom) = 0.0610
! - total magnetization (μB per cell) = 2.00
&SYSTEM
  ibrav = 0, nat = 13, ntyp = 4
/
ATOMIC_SPECIES
Mg 24.30 Mg.upf
Nb 92.91 Nb.upf
B 10.81 B.upf
O 16.00 O.upf
ATOMIC_POSITIONS angstrom
Mg 0.000 0.000 0.000
Nb 0.619 0.000 3.070
Nb 5.578 0.000 1.485
B 2.135 0.000 0.672
B 4.063 0.000 3.883
O 1.305 1.102 1.336
O -1.269 0.000 3.766
O 1.305 -1.102 1.336
O 3.564 0.000 0.704
O 2.633 0.000 3.851
O 4.893 1.102 3.219
O 7.466 0.000 0.789
O 4.893 -1.102 3.219
CELL_PARAMETERS angstrom
4.619 -3.259 0.000
4.619 3.259 0.000
-3.041 0.000 4.555

=====

Entry 6:
! Tb5CuBi3 | the Materials Project database | GGA-PBE | relaxed; values from VASP
! - energy relative to the elements (eV per atom) = -0.648
! - SG = No. 193
! - total magnetization (μB per cell) = 0.00
&SYSTEM
  ibrav = 0, nat = 18, ntyp = 3
/
ATOMIC_SPECIES
Tb 158.93 Tb.upf
Cu 63.55 Cu.upf
Bi 208.98 Bi.upf
ATOMIC_POSITIONS angstrom
Tb -1.194 2.069 1.604
Tb -3.476 6.020 4.813
Tb 2.389 0.000 1.604
Tb 1.194 2.069 4.813
Tb 0.000 5.393 0.000
Tb 0.000 5.393 3.209
Tb 4.670 2.696 0.000
Tb 4.670 2.696 3.209
Tb 6.951 0.000 4.813
Tb 3.476 6.020 1.604
Cu 0.000 0.000 0.000
Cu 0.000 0.000 3.209
Bi -1.799 3.115 4.813
Bi -2.872 4.974 1.604
Bi 3.597 0.000 4.813
Bi 1.799 3.115 1.604
Bi 5.743 0.000 1.604
Bi 2.872 4.974 4.813
CELL_PARAMETERS angstrom
9.340 0.000 0.000
-4.670 8.089 0.000
0.000 0.000 6.417

=====

Entry 7:
! PtBr3N2 | the Materials Project database | GGA-PBE | relaxed; values from VASP
! - energy relative to the elements (eV per atom) = 1.207
! - SG = No. 70
! - excess energy over the best structure of this formula in the dataset (eV per atom) = 0.2180
! - total magnetization (μB per cell) = 8.00
&SYSTEM
  ibrav = 0, nat = 24, ntyp = 3
/
ATOMIC_SPECIES
Pt 195.08 Pt.upf
Br 79.90 Br.upf
N 14.01 N.upf
ATOMIC_POSITIONS angstrom
Pt 1.399 1.771 2.070
Pt 4.196 5.314 6.210
Pt 6.993 8.857 10.350
Pt 9.791 12.400 14.490
Br 4.196 5.314 0.479
Br 7.220 5.314 6.210
Br 4.196 5.314 3.688
Br 6.993 8.857 4.619
Br 10.017 8.857 10.350
Br 6.993 8.857 7.829
Br 4.196 5.314 8.732
Br 1.172 5.314 6.210
Br 4.196 5.314 11.941
Br 6.993 8.857 12.872
Br 3.970 8.857 10.350
Br 6.993 8.857 16.081
N 4.196 0.073 6.210
N 4.196 3.508 6.210
N 6.993 3.615 10.350
N 6.993 7.051 10.350
N 4.196 7.120 6.210
N 4.196 10.556 6.210
N 6.993 10.663 10.350
N 6.993 14.099 10.350
CELL_PARAMETERS angstrom
0.000 7.086 8.280
5.595 0.000 8.280
5.595 7.086 0.000

=====

Entry 8:
! Mg5Ga | the Materials Project database | GGA-PBE | relaxed; values from VASP
! - energy relative to the elements (eV per atom) = -0.027
! - SG = No. 38
! - excess energy over the best structure of this formula in the dataset (eV per atom) = 0.0063
&SYSTEM
  ibrav = 0, nat = 12, ntyp = 2
/
ATOMIC_SPECIES
Mg 24.30 Mg.upf
Ga 69.72 Ga.upf
ATOMIC_POSITIONS angstrom
Mg 0.000 0.000 0.000
Mg 0.000 0.000 5.410
Mg 0.000 1.563 8.215
Mg 0.000 1.563 13.625
Mg 2.526 0.000 1.817
Mg 2.526 0.000 7.265
Mg 2.526 0.000 12.728
Mg 2.526 1.563 4.513
Mg 2.526 1.563 10.032
Mg 2.526 1.563 15.480
Ga 0.000 0.000 10.927
Ga 0.000 1.563 2.712
CELL_PARAMETERS angstrom
5.053 0.000 0.000
0.000 3.126 0.000
0.000 0.000 16.430

=====

Entry 9:
! YC4O8 | the Materials Project database | GGA-PBE | relaxed; values from VASP
! - energy relative to the elements (eV per atom) = -1.905
! - SG = No. 85
! - total magnetization (μB per cell) = 0.00
&SYSTEM
  ibrav = 0, nat = 26, ntyp = 3
/
ATOMIC_SPECIES
Y 88.91 Y.upf
C 12.01 C.upf
O 16.00 O.upf
ATOMIC_POSITIONS angstrom
Y 2.153 6.458 0.000
Y 6.458 2.153 0.000
C 0.086 8.483 1.848
C 0.128 4.391 3.477
C 4.177 8.525 3.477
C 4.220 4.434 1.848
C 4.391 4.177 3.477
C 4.434 0.086 1.848
C 8.483 4.220 1.848
C 8.525 0.128 3.477
O 0.539 4.965 1.107
O 0.659 8.072 4.218
O 0.959 7.637 1.565
O 0.974 5.264 3.760
O 3.331 7.653 3.760
O 3.347 5.280 1.565
O 3.646 4.845 4.218
O 3.766 7.952 1.107
O 4.845 0.659 4.218
O 4.965 3.766 1.107
O 5.264 3.331 3.760
O 5.280 0.959 1.565
O 7.637 3.347 1.565
O 7.653 0.974 3.760
O 7.952 0.539 1.107
O 8.072 3.646 4.218
CELL_PARAMETERS angstrom
8.611 0.000 0.000
0.000 8.611 0.000
0.000 0.000 5.325

=====

Entry 10:
! Ac3Au | the Materials Project database | GGA-PBE | relaxed; values from VASP
! - energy relative to the elements (eV per atom) = -0.098
! - SG = No. 221
! - total magnetization (μB per cell) = 0.00
&SYSTEM
  ibrav = 0, nat = 4, ntyp = 2
/
ATOMIC_SPECIES
Ac 227.00 Ac.upf
Au 196.97 Au.upf
ATOMIC_POSITIONS angstrom
Ac 0.000 0.000 2.622
Ac 0.000 2.622 0.000
Ac 2.622 0.000 0.000
Au 2.622 2.622 2.622
CELL_PARAMETERS angstrom
5.244 0.000 0.000
0.000 5.244 0.000
0.000 0.000 5.244

=====

Entry 11:
! CePd3 | the Materials Project database | GGA-PBE | relaxed; values from VASP
! - energy relative to the elements (eV per atom) = -0.832
! - SG = No. 221
&SYSTEM
  ibrav = 0, nat = 4, ntyp = 2
/
ATOMIC_SPECIES
Ce 140.12 Ce.upf
Pd 106.42 Pd.upf
ATOMIC_POSITIONS angstrom
Ce 0.000 0.000 0.000
Pd 0.000 2.084 2.084
Pd 2.084 0.000 2.084
Pd 2.084 2.084 0.000
CELL_PARAMETERS angstrom
4.168 0.000 0.000
0.000 4.168 0.000
0.000 0.000 4.168

=====

Entry 12:
! Hf10CuSn7 | the Materials Project database | GGA-PBE | relaxed; values from VASP
! - energy relative to the elements (eV per atom) = -0.398
! - SG = No. 162
&SYSTEM
  ibrav = 0, nat = 18, ntyp = 3
/
ATOMIC_SPECIES
Hf 178.49 Hf.upf
Cu 63.55 Cu.upf
Sn 118.71 Sn.upf
ATOMIC_POSITIONS angstrom
Hf -1.186 2.054 1.529
Hf -3.151 5.457 4.325
Hf 2.372 0.000 1.529
Hf 1.186 2.054 4.325
Hf 0.000 5.008 0.000
Hf 0.000 5.008 2.927
Hf 4.337 2.504 0.000
Hf 4.337 2.504 2.927
Hf 6.302 0.000 4.325
Hf 3.151 5.457 1.529
Cu 0.000 0.000 2.927
Sn 0.000 0.000 0.000
Sn -1.669 2.892 4.406
Sn -2.667 4.620 1.448
Sn 3.339 0.000 4.406
Sn 1.669 2.892 1.448
Sn 5.335 0.000 1.448
Sn 2.667 4.620 4.406
CELL_PARAMETERS angstrom
8.674 0.000 0.000
-4.337 7.512 0.000
0.000 0.000 5.854